Record 1
The following is a DFT calculation (PBE) of a relaxed Ca3Mg crystal.

Output
- Crystal system: tetragonal
- DFT total energy: -1.904 eV per atom
- Symmetry: I4/mmm (139)
- E_form: 0.01 kcal/mol of atoms

Lattice parameters (Å, degrees): 6.4601 6.4601 6.4601 131.96 131.96 70.29
Closest atoms and distances in Å follow each position.
Fractional positions:
Ca 0.2500 0.7500 0.5000  8 Ca 3.72-3.73, 4 Mg 3.73
Ca 0.7500 0.2500 0.5000  8 Ca 3.72-3.73, 4 Mg 3.73
Ca 0.5000 0.5000 0.0000  4 Mg 3.72, 8 Ca 3.73
Mg 0.0000 0.0000 0.0000  12 Ca 3.72-3.73

***

Record 2
The following is a DFT calculation (PBE) of a relaxed BiClF8 crystal.

Output
- Crystal system: triclinic
- DFT total energy: -3.423 eV per atom
- Symmetry: P-1 (2)
- E_form: -38.91 kcal/mol of atoms

Lattice parameters (Å, degrees): 5.3998 5.9203 10.7790 90.58 93.61 93.72
Closest atoms and distances in Å follow each position.
Fractional positions:
F 0.5753 0.4529 0.8764  1 Cl 1.62
F 0.5981 0.5215 0.6595  1 Cl 1.62
F 0.6726 0.9631 0.8968  1 Bi 2.03
F 0.8887 0.2803 0.0839  1 Bi 2.02
F 0.8163 0.6997 0.4217  1 Bi 2.12, 1 Cl 2.18
F 0.4019 0.4785 0.3405  1 Cl 1.62
F 0.4247 0.5471 0.1236  1 Cl 1.62
F 0.1512 0.8147 0.6387  1 Bi 2.02
F 0.7089 0.0493 0.6048  1 Bi 2.03
F 0.8488 0.1853 0.3613  1 Bi 2.02
F 0.1837 0.3003 0.5783  1 Bi 2.12, 1 Cl 2.18
F 0.1113 0.7197 0.9161  1 Bi 2.02
F 0.2911 0.9507 0.3952  1 Bi 2.03
F 0.1375 0.2074 0.8573  1 Bi 2.12, 1 Cl 2.16
F 0.8625 0.7926 0.1427  1 Bi 2.12, 1 Cl 2.16
F 0.3274 0.0369 0.1032  1 Bi 2.03
Cl 0.5895 0.6153 0.2514  2 F 1.62
Cl 0.4105 0.3847 0.7486  2 F 1.62
Bi 0.0000 0.0000 0.0000  6 F 2.02-2.12
Bi 0.0000 0.0000 0.5000  6 F 2.02-2.12

***

Record 3
The following is a DFT calculation (PBE) of a relaxed Li8Nb2S9 crystal.

Output
- Crystal system: triclinic
- DFT total energy: -4.959 eV per atom
- Symmetry: P-1 (2)
- E_form: -31.62 kcal/mol of atoms

Lattice parameters (Å, degrees): 7.2530 10.9195 18.7040 85.71 79.01 70.80
Closest atoms and distances in Å follow each position.
Fractional positions:
S 0.1196 0.3636 0.6536  1 Nb 2.46, 4 Li 2.51-2.59
S 0.0048 0.3933 0.8583  1 Nb 2.39, 5 Li 2.44-2.55
S 0.2847 0.3762 0.2488  4 Li 2.58-2.66, 2 Nb 2.60-2.62
S 0.4145 0.3678 0.0544  1 Nb 2.34, 3 Li 2.56-2.61
S 0.2348 0.1268 0.1531  4 Li 2.52-2.59, 2 Nb 2.58-2.71
S 0.5683 0.8750 0.2540  4 Li 2.49-2.52, 1 Nb 2.56
S 0.0776 0.8781 0.2469  1 Nb 2.43, 4 Li 2.47-2.62
S 0.4777 0.6380 0.1525  1 Nb 2.35, 5 Li 2.45-2.62
S 0.8719 0.8669 0.6416  1 Nb 2.30, 5 Li 2.47-2.54
S 0.9952 0.6067 0.1417  1 Nb 2.39, 5 Li 2.44-2.55
S 0.1718 0.6222 0.7486  2 Nb 2.50-2.73, 4 Li 2.55-2.65
S 0.4317 0.1250 0.7460  4 Li 2.49-2.52, 1 Nb 2.56
S 0.3557 0.1121 0.9328  1 Nb 2.45, 5 Li 2.47-2.71
S 0.8282 0.3778 0.2514  2 Nb 2.50-2.73, 4 Li 2.55-2.65
S 0.0933 0.6394 0.9401  1 Nb 2.36, 2 Li 2.49-2.58
S 0.7153 0.6238 0.7512  4 Li 2.58-2.66, 2 Nb 2.60-2.62
S 0.5855 0.6322 0.9456  1 Nb 2.34, 3 Li 2.56-2.61
S 0.6489 0.1035 0.3445  1 Nb 2.42, 5 Li 2.47-2.65
S 0.3511 0.8965 0.6555  1 Nb 2.42, 5 Li 2.47-2.65
S 0.5419 0.1331 0.5497  1 Nb 2.31, 3 Li 2.53-2.55
S 0.1628 0.8806 0.0528  1 Nb 2.31, 1 Li 2.54
S 0.5223 0.3620 0.8475  1 Nb 2.35, 5 Li 2.45-2.62
S 0.1281 0.1331 0.3584  1 Nb 2.30, 5 Li 2.47-2.54
S 0.7652 0.8732 0.8469  4 Li 2.52-2.59, 2 Nb 2.58-2.71
S 0.2161 0.3935 0.4323  1 Nb 2.41, 4 Li 2.50-2.53
S 0.2846 0.6140 0.5574  1 Nb 2.34, 1 Li 2.49
S 0.0421 0.1301 0.5579  1 Nb 2.39, 4 Li 2.50-2.66
S 0.6443 0.8879 0.0672  1 Nb 2.45, 5 Li 2.47-2.71
S 0.8372 0.1194 0.9472  1 Nb 2.31, 1 Li 2.54
S 0.9579 0.8699 0.4421  1 Nb 2.39, 4 Li 2.50-2.66
S 0.9224 0.1219 0.7531  1 Nb 2.43, 4 Li 2.47-2.62
S 0.7154 0.3860 0.4426  1 Nb 2.34, 1 Li 2.49
S 0.9067 0.3606 0.0599  1 Nb 2.36, 2 Li 2.49-2.58
S 0.4581 0.8669 0.4503  1 Nb 2.31, 3 Li 2.53-2.55
S 0.7839 0.6065 0.5677  1 Nb 2.41, 4 Li 2.50-2.53
S 0.8804 0.6364 0.3464  1 Nb 2.46, 4 Li 2.51-2.59
Li 0.8281 0.1221 0.4458  5 S 2.49-2.72
Li 0.1318 0.1482 0.8417  5 S 2.49-2.70
Li 0.7133 0.3741 0.9473  6 S 2.49-2.72
Li 0.5862 0.8815 0.7422  5 S 2.49-2.66
Li 0.9576 0.1255 0.2570  5 S 2.47-2.60
Li 0.3765 0.3756 0.5419  4 S 2.49-2.55
Li 0.5901 0.4004 0.1578  5 S 2.45-2.63
Li 0.7124 0.6343 0.2408  5 S 2.44-2.65
Li 0.4666 0.6570 0.6606  5 S 2.47-2.68
Li 0.5334 0.3430 0.3394  5 S 2.47-2.68
Li 0.2601 0.8916 0.3435  5 S 2.47-2.64
Li 0.6574 0.8698 0.5484  6 S 2.54-2.73
Li 0.8373 0.3736 0.7605  5 S 2.44-2.62
Li 0.1719 0.8779 0.5542  5 S 2.49-2.72
Li 0.5033 0.1231 0.0395  5 S 2.47-2.68
Li 0.2876 0.3657 0.7592  5 S 2.44-2.65
Li 0.2867 0.6259 0.0527  6 S 2.49-2.72
Li 0.1627 0.6264 0.2395  5 S 2.44-2.62
Li 0.4099 0.5996 0.8422  5 S 2.45-2.63
Li 0.2181 0.3725 0.9511  6 S 2.49-2.77
Li 0.9642 0.3694 0.5395  5 S 2.50-2.75
Li 0.0866 0.1253 0.0413  5 S 2.49-2.77
Li 0.8682 0.8518 0.1583  5 S 2.49-2.70
Li 0.6235 0.6244 0.4581  4 S 2.49-2.55
Li 0.3426 0.1302 0.4516  6 S 2.54-2.73
Li 0.4967 0.8769 0.9605  5 S 2.47-2.68
Li 0.7399 0.1084 0.6565  5 S 2.47-2.64
Li 0.0358 0.6306 0.4605  5 S 2.50-2.75
Li 0.0424 0.8745 0.7430  5 S 2.47-2.60
Li 0.4138 0.1185 0.2578  5 S 2.49-2.66
Li 0.9134 0.8747 0.9587  5 S 2.49-2.77
Li 0.7819 0.6275 0.0489  6 S 2.49-2.77
Nb 0.9940 0.6438 0.6436  4 S 2.30-2.50
Nb 0.2696 0.1284 0.6353  5 S 2.31-2.56
Nb 0.6555 0.1352 0.8558  4 S 2.31-2.45
Nb 0.7304 0.8716 0.3647  5 S 2.31-2.56
Nb 0.0060 0.3562 0.3564  4 S 2.30-2.50
Nb 0.1235 0.3751 0.1361  5 S 2.34-2.60
Nb 0.8765 0.6249 0.8639  5 S 2.34-2.60
Nb 0.3445 0.8648 0.1442  4 S 2.31-2.45

***

Record 4
The following is a DFT calculation (PBE) of a relaxed ErB4Ir2Rh2 crystal.

Output
- Crystal system: tetragonal
- DFT total energy: -7.635 eV per atom
- Symmetry: P4_2mc (105)
- E_form: -12.87 kcal/mol of atoms

Lattice parameters (Å, degrees): 5.3737 5.3737 7.4507 90.00 90.00 90.00
Closest atoms and distances in Å follow each position.
Fractional positions:
B 0.1701 0.0000 0.5984  1 B 1.83
B 0.8299 0.0000 0.5984  1 B 1.83
B 0.6714 0.5000 0.4036  1 B 1.84
B 0.3286 0.5000 0.4036  1 B 1.84
B 0.5000 0.3286 0.9036  1 B 1.84
B 0.0000 0.1701 0.0984  1 B 1.83
B 0.0000 0.8299 0.0984  1 B 1.83
B 0.5000 0.6714 0.9036  1 B 1.84
Ir 0.5000 0.2484 0.6051  5 B 2.22-2.27
Ir 0.7516 0.5000 0.1051  5 B 2.22-2.27
Ir 0.5000 0.7516 0.6051  5 B 2.22-2.27
Ir 0.2484 0.5000 0.1051  5 B 2.22-2.27
Rh 0.0000 0.2506 0.3939  5 B 2.22-2.24
Rh 0.0000 0.7494 0.3939  5 B 2.22-2.24
Rh 0.7494 0.0000 0.8939  5 B 2.22-2.24
Rh 0.2506 0.0000 0.8939  5 B 2.22-2.24
Er 0.0000 0.5000 0.7480  6 Rh 2.96-3.20, 6 Ir 2.98-3.19, 12 B 3.05-3.16
Er 0.5000 0.0000 0.2480  6 Rh 2.96-3.20, 6 Ir 2.98-3.19, 12 B 3.05-3.16

***

Record 5
The following is a DFT calculation (PBE) of a relaxed Mg2GeO4 crystal.

Output
- Crystal system: orthorhombic
- DFT total energy: -6.282 eV per atom
- Symmetry: Pnma (62)
- E_form: -62.94 kcal/mol of atoms

Lattice parameters (Å, degrees): 4.9698 6.1028 10.4423 90.00 90.00 90.00
Closest atoms and distances in Å follow each position.
Fractional positions:
O 0.7332 0.9786 0.1644  1 Ge 1.79
O 0.2668 0.4786 0.8356  1 Ge 1.79
O 0.7111 0.2500 0.4079  1 Ge 1.75
O 0.7668 0.5214 0.6644  1 Ge 1.79
O 0.2332 0.0214 0.3356  1 Ge 1.79
O 0.7298 0.7500 0.9401  1 Ge 1.81
O 0.2889 0.7500 0.5921  1 Ge 1.75
O 0.2702 0.2500 0.0599  1 Ge 1.81
O 0.2332 0.4786 0.3356  1 Ge 1.79
O 0.7702 0.7500 0.4401  1 Ge 1.81
O 0.7668 0.9786 0.6644  1 Ge 1.79
O 0.2111 0.7500 0.0921  1 Ge 1.75
O 0.7889 0.2500 0.9079  1 Ge 1.75
O 0.2668 0.0214 0.8356  1 Ge 1.79
O 0.2298 0.2500 0.5599  1 Ge 1.81
O 0.7332 0.5214 0.1644  1 Ge 1.79
Mg 0.0000 0.5000 0.0000  6 O 2.09-2.17
Mg 0.4934 0.7500 0.7761  6 O 2.08-2.27
Mg 0.5000 0.5000 0.5000  6 O 2.09-2.17
Mg 0.0066 0.7500 0.2761  6 O 2.08-2.27
Mg 0.5000 0.0000 0.5000  6 O 2.09-2.17
Mg 0.9934 0.2500 0.7239  6 O 2.08-2.27
Mg 0.0000 0.0000 0.0000  6 O 2.09-2.17
Mg 0.5066 0.2500 0.2239  6 O 2.08-2.27
Ge 0.5638 0.7500 0.0943  4 O 1.75-1.81
Ge 0.9362 0.7500 0.5943  4 O 1.75-1.81
Ge 0.0638 0.2500 0.4057  4 O 1.75-1.81
Ge 0.4362 0.2500 0.9057  4 O 1.75-1.81

***

Record 6
The following is a DFT calculation (PBE) of a relaxed CaBiO3 crystal.

Output
- Crystal system: monoclinic
- DFT total energy: -6.000 eV per atom
- Symmetry: P2_1/c (14)
- E_form: -52.21 kcal/mol of atoms

Lattice parameters (Å, degrees): 6.0644 5.8065 10.2227 55.42 90.00 90.00
Closest atoms and distances in Å follow each position.
Fractional positions:
Ca 0.0592 0.2631 0.7507  4 O 2.34-2.43
Ca 0.4408 0.2631 0.2507  4 O 2.34-2.43
Ca 0.5592 0.7369 0.7493  4 O 2.34-2.43
Ca 0.9408 0.7369 0.2493  4 O 2.34-2.43
O 0.6991 0.2405 0.4295  2 Bi 2.16-2.34, 1 Ca 2.35
O 0.6794 0.6292 0.0678  2 Bi 2.15-2.33, 1 Ca 2.37
O 0.8009 0.2405 0.9295  2 Bi 2.16-2.34, 1 Ca 2.35
O 0.9338 0.8952 0.7376  2 Bi 2.18-2.37, 2 Ca 2.34-2.43
O 0.1991 0.7595 0.0705  2 Bi 2.16-2.34, 1 Ca 2.35
O 0.4338 0.1048 0.7624  2 Bi 2.18-2.37, 2 Ca 2.34-2.43
O 0.1794 0.3708 0.4322  2 Bi 2.15-2.33, 1 Ca 2.37
O 0.5662 0.8952 0.2376  2 Bi 2.18-2.37, 2 Ca 2.34-2.43
O 0.8206 0.6292 0.5678  2 Bi 2.15-2.33, 1 Ca 2.37
O 0.0662 0.1048 0.2624  2 Bi 2.18-2.37, 2 Ca 2.34-2.43
O 0.3009 0.7595 0.5705  2 Bi 2.16-2.34, 1 Ca 2.35
O 0.3206 0.3708 0.9322  2 Bi 2.15-2.33, 1 Ca 2.37
Bi 0.5000 0.0000 0.0000  6 O 2.15-2.18
Bi 0.0000 0.5000 0.0000  6 O 2.33-2.37
Bi 0.5000 0.5000 0.5000  6 O 2.33-2.37
Bi 0.0000 0.0000 0.5000  6 O 2.15-2.18